Entry 1:
Compound: Y10Ta4O25
Source: the Materials Project database
Functional: PBE
Structure: optimized geometry

Formation energy in eV/atom: -3.772

abc: 3.7579 6.5194 45.3328
angles: 109.54 90.00 90.00
Positions (direct):
Y 0.0000 0.5166 0.4285
Y 0.0000 0.0014 0.4977
Y 0.0000 0.5181 0.5715
Y 0.0000 0.0121 0.7898
Y 0.5000 0.4919 0.5014
Y 0.5000 0.4920 0.2156
Y 0.5000 0.4921 0.3585
Y 0.5000 0.4907 0.0726
Y 0.5000 0.5036 0.7860
Y 0.5000 0.4871 0.9278
Y 0.5000 0.4905 0.6441
Y 0.0000 0.9989 0.0681
Y 0.0000 0.5097 0.9986
Y 0.0000 0.0013 0.3548
Y 0.0000 0.0013 0.2118
Y 0.0000 0.5166 0.2856
Y 0.0000 0.5161 0.1427
Y 0.0000 0.0038 0.6417
Y 0.0000 0.9931 0.9223
Y 0.0000 0.5285 0.7147
Ta 0.0000 0.4696 0.8575
Ta 0.5000 0.9896 0.9989
Ta 0.5000 0.9948 0.1434
Ta 0.5000 0.9949 0.2865
Ta 0.5000 0.9949 0.4294
Ta 0.5000 0.0046 0.7171
Ta 0.5000 0.9952 0.5724
Ta 0.5000 0.9678 0.8564
O 0.0000 0.3597 0.0908
O 0.0000 0.3618 0.2339
O 0.0000 0.3617 0.3768
O 0.0000 0.3619 0.5197
O 0.0000 0.3653 0.6628
O 0.0000 0.4015 0.8109
O 0.0000 0.3582 0.9463
O 0.0000 0.8697 0.8677
O 0.5000 0.3078 0.1509
O 0.5000 0.3015 0.0062
O 0.5000 0.3077 0.4366
O 0.5000 0.3076 0.2937
O 0.5000 0.0914 0.0476
O 0.5000 0.0956 0.1917
O 0.5000 0.0959 0.3346
O 0.5000 0.6582 0.2722
O 0.5000 0.6575 0.1291
O 0.5000 0.0958 0.4775
O 0.5000 0.0942 0.6207
O 0.5000 0.3176 0.7246
O 0.5000 0.3085 0.5799
O 0.5000 0.6582 0.4151
O 0.5000 0.1073 0.7666
O 0.5000 0.3614 0.8693
O 0.5000 0.6649 0.7013
O 0.5000 0.6580 0.5579
O 0.5000 0.1065 0.9036
O 0.5000 0.6440 0.8480
O 0.5000 0.6552 0.9858
O 0.5000 0.9419 0.0984
O 0.5000 0.9417 0.2415
O 0.5000 0.9418 0.3844
O 0.5000 0.9426 0.5274
O 0.5000 0.9540 0.6720
O 0.5000 0.8859 0.8106
O 0.5000 0.9293 0.9531
O 0.0000 0.6292 0.0518
O 0.0000 0.9403 0.0069
O 0.0000 0.6327 0.3384
O 0.0000 0.6327 0.1955
O 0.0000 0.9401 0.2942
O 0.0000 0.9399 0.1513
O 0.0000 0.6355 0.6244
O 0.0000 0.6328 0.4813
O 0.0000 0.9404 0.5798
O 0.0000 0.9401 0.4371
O 0.0000 0.1440 0.8448
O 0.0000 0.6161 0.9052
O 0.0000 0.6372 0.7670
O 0.0000 0.9487 0.7238

=====

Entry 2:
Compound: Na8Ga2O7
Source: the Materials Project database
Functional: PBE
Structure: optimized geometry

Formation energy in eV/atom: -1.875

abc: 11.1029 8.7368 10.1547
angles: 72.38 90.00 90.00
Positions (direct):
Na 0.7317 0.4987 0.6280
Na 0.9960 0.6584 0.0187
Na 0.4960 0.3416 0.4813
Na 0.0040 0.3416 0.9813
Na 0.5040 0.6584 0.5187
Na 0.5247 0.1200 0.0757
Na 0.0247 0.8800 0.4243
Na 0.4753 0.8800 0.9243
Na 0.7604 0.8926 0.0329
Na 0.2604 0.1074 0.4671
Na 0.2396 0.1074 0.9671
Na 0.7396 0.8926 0.5329
Na 0.5547 0.7449 0.2121
Na 0.0547 0.2551 0.2879
Na 0.4453 0.2551 0.7879
Na 0.9453 0.7449 0.7121
Na 0.0392 0.9154 0.1430
Na 0.5392 0.0846 0.3570
Na 0.9608 0.0846 0.8570
Na 0.4608 0.9154 0.6430
Na 0.5296 0.4312 0.1438
Na 0.0296 0.5688 0.3562
Na 0.4704 0.5688 0.8562
Na 0.9704 0.4312 0.6438
Na 0.2499 0.7143 0.0699
Na 0.7499 0.2857 0.4301
Na 0.7501 0.2857 0.9301
Na 0.2501 0.7143 0.5699
Na 0.7683 0.4987 0.1280
Na 0.2683 0.5013 0.3720
Na 0.2317 0.5013 0.8720
Na 0.9753 0.1200 0.5757
Ga 0.7145 0.6907 0.8465
Ga 0.2145 0.3093 0.6535
Ga 0.2855 0.3093 0.1535
Ga 0.7855 0.6907 0.3465
Ga 0.7015 0.0931 0.7261
Ga 0.2015 0.9069 0.7739
Ga 0.2985 0.9069 0.2739
Ga 0.7985 0.0931 0.2261
O 0.3825 0.3257 0.2993
O 0.1105 0.8960 0.6224
O 0.6105 0.1040 0.8776
O 0.8895 0.1040 0.3776
O 0.3895 0.8960 0.1224
O 0.1164 0.3285 0.4969
O 0.6164 0.6715 0.0031
O 0.6096 0.1066 0.5681
O 0.2050 0.1041 0.2170
O 0.7050 0.8959 0.2830
O 0.7950 0.8959 0.7830
O 0.2950 0.1041 0.7170
O 0.1529 0.4551 0.1072
O 0.6528 0.5449 0.3928
O 0.8472 0.5449 0.8928
O 0.3472 0.4551 0.6072
O 0.8825 0.6743 0.2007
O 0.3836 0.3285 0.9969
O 0.1175 0.3257 0.7993
O 0.6175 0.6743 0.7007
O 0.6757 0.2471 0.1843
O 0.1757 0.7529 0.3157
O 0.3243 0.7529 0.8157
O 0.8243 0.2471 0.6843
O 0.8904 0.1066 0.0681
O 0.3904 0.8934 0.4319
O 0.1096 0.8934 0.9319
O 0.8836 0.6715 0.5031